1.
A plane-wave DFT calculation with PBE with a Hubbard U was carried out for crystalline Li7Mn2Co3O12 at its relaxed geometry.

The structure in CIF format:
```
data_Li7Mn2Co3O12
_chemical_formula_sum 'Li7 Mn2 Co3 O12'
_symmetry_space_group_name_H-M 'P 1'
_symmetry_Int_Tables_number 1
_cell_length_a 2.9830
_cell_length_b 5.9954
_cell_length_c 12.4913
_cell_angle_alpha 76.83
_cell_angle_beta 88.79
_cell_angle_gamma 87.00
loop_
_symmetry_equiv_pos_as_xyz
'x,y,z'
loop_
_atom_site_label
_atom_site_type_symbol
_atom_site_fract_x
_atom_site_fract_y
_atom_site_fract_z
_atom_site_occupancy
Li1 Li 0.0000 0.0000 0.0000 1
Li2 Li 0.0005 0.6756 0.6612 1
Li3 Li 0.4969 0.1678 0.1551 1
Li4 Li 0.5005 0.8393 0.8312 1
Li5 Li 0.5037 0.5145 0.4946 1
Li6 Li 0.5101 0.6898 0.1565 1
Li7 Li 0.9942 0.3520 0.3208 1
Mn1 Mn 0.0052 0.8416 0.3208 1
Mn2 Mn 0.9886 0.1788 0.6614 1
Co1 Co 0.0070 0.5149 0.0018 1
Co2 Co 0.4900 0.0044 0.4961 1
Co3 Co 0.5014 0.3440 0.8299 1
O1 O 0.0014 0.4305 0.1440 1
O2 O 0.0058 0.9233 0.1719 1
O3 O 0.0069 0.7772 0.4863 1
O4 O 0.0309 0.5714 0.8409 1
O5 O 0.4541 0.9329 0.6547 1
O6 O 0.4723 0.2784 0.9853 1
O7 O 0.4867 0.0654 0.3313 1
O8 O 0.5227 0.6255 0.3277 1
O9 O 0.5302 0.4190 0.6688 1
O10 O 0.5368 0.7388 0.9931 1
O11 O 0.9711 0.1101 0.8215 1
O12 O 0.9723 0.2420 0.4975 1
```

Output
calculated density	4.0	g cm⁻³
total energy	-5.836	eV per atom
calculated formation energy	-1840	meV/atom

***

2.
A plane-wave DFT calculation with PBE with a Hubbard U was carried out for crystalline Li4MnCo2O7 at its relaxed geometry.

The structure in CIF format:
```
data_Li4MnCo2O7
_chemical_formula_sum 'Li16 Mn4 Co8 O28'
_symmetry_space_group_name_H-M 'C 1 m 1'
_symmetry_Int_Tables_number 8
_cell_length_a 15.2612
_cell_length_b 2.8955
_cell_length_c 12.9379
_cell_angle_alpha 90.00
_cell_angle_beta 117.98
_cell_angle_gamma 90.00
loop_
_symmetry_equiv_pos_as_xyz
'x,y,z'
'x,-y,z'
'x+1/2,y+1/2,z'
'x+1/2,-y+1/2,z'
loop_
_atom_site_label
_atom_site_type_symbol
_atom_site_fract_x
_atom_site_fract_y
_atom_site_fract_z
_atom_site_occupancy
Li1 Li 0.0000 0.0000 0.0000 1
Li2 Li 0.0024 0.5000 0.4978 1
Li3 Li 0.0727 0.5000 0.8446 1
Li4 Li 0.1288 0.0000 0.6908 1
Li5 Li 0.2130 0.5000 0.5607 1
Li6 Li 0.2865 0.0000 0.4274 1
Li7 Li 0.3705 0.5000 0.3042 1
Li8 Li 0.4396 0.0000 0.1526 1
Mn1 Mn 0.2164 0.0000 0.0646 1
Mn2 Mn 0.3601 0.0000 0.7851 1
Co1 Co 0.0698 0.0000 0.3719 1
Co2 Co 0.1424 0.5000 0.2175 1
Co3 Co 0.2878 0.5000 0.9249 1
Co4 Co 0.4320 0.5000 0.6235 1
O1 O 0.0332 0.5000 0.6793 1
O2 O 0.0438 0.0000 0.1729 1
O3 O 0.1101 0.0000 0.5263 1
O4 O 0.1218 0.5000 0.0294 1
O5 O 0.1749 0.5000 0.3803 1
O6 O 0.1953 0.0000 0.9017 1
O7 O 0.2406 0.0000 0.2258 1
O8 O 0.2661 0.5000 0.7639 1
O9 O 0.3101 0.5000 0.0867 1
O10 O 0.3334 0.0000 0.6278 1
O11 O 0.3805 0.0000 0.9504 1
O12 O 0.3905 0.5000 0.4702 1
O13 O 0.4542 0.5000 0.8221 1
O14 O 0.4688 0.0000 0.3173 1
```

Output
calculated density	4.1	g cm⁻³
total energy	-5.826	eV per atom
calculated formation energy	-1833	meV/atom

***

Number 2 is which compound? Li4MnCo2O7

***

calculated formation energy of number 2 (Li4MnCo2O7)? -1833 meV/atom

***

Copy entry 1 word for word.
A plane-wave DFT calculation with PBE with a Hubbard U was carried out for crystalline Li7Mn2Co3O12 at its relaxed geometry.

The structure in CIF format:
```
data_Li7Mn2Co3O12
_chemical_formula_sum 'Li7 Mn2 Co3 O12'
_symmetry_space_group_name_H-M 'P 1'
_symmetry_Int_Tables_number 1
_cell_length_a 2.9830
_cell_length_b 5.9954
_cell_length_c 12.4913
_cell_angle_alpha 76.83
_cell_angle_beta 88.79
_cell_angle_gamma 87.00
loop_
_symmetry_equiv_pos_as_xyz
'x,y,z'
loop_
_atom_site_label
_atom_site_type_symbol
_atom_site_fract_x
_atom_site_fract_y
_atom_site_fract_z
_atom_site_occupancy
Li1 Li 0.0000 0.0000 0.0000 1
Li2 Li 0.0005 0.6756 0.6612 1
Li3 Li 0.4969 0.1678 0.1551 1
Li4 Li 0.5005 0.8393 0.8312 1
Li5 Li 0.5037 0.5145 0.4946 1
Li6 Li 0.5101 0.6898 0.1565 1
Li7 Li 0.9942 0.3520 0.3208 1
Mn1 Mn 0.0052 0.8416 0.3208 1
Mn2 Mn 0.9886 0.1788 0.6614 1
Co1 Co 0.0070 0.5149 0.0018 1
Co2 Co 0.4900 0.0044 0.4961 1
Co3 Co 0.5014 0.3440 0.8299 1
O1 O 0.0014 0.4305 0.1440 1
O2 O 0.0058 0.9233 0.1719 1
O3 O 0.0069 0.7772 0.4863 1
O4 O 0.0309 0.5714 0.8409 1
O5 O 0.4541 0.9329 0.6547 1
O6 O 0.4723 0.2784 0.9853 1
O7 O 0.4867 0.0654 0.3313 1
O8 O 0.5227 0.6255 0.3277 1
O9 O 0.5302 0.4190 0.6688 1
O10 O 0.5368 0.7388 0.9931 1
O11 O 0.9711 0.1101 0.8215 1
O12 O 0.9723 0.2420 0.4975 1
```

Output
calculated density	4.0	g cm⁻³
total energy	-5.836	eV per atom
calculated formation energy	-1840	meV/atom

***

The highest calculated formation energy belongs to which entry? Li4MnCo2O7